# TiO, optimized geometry, DFT GGA-PBE
data_TiO
_cell_length_a 2.8265
_cell_length_b 2.8265
_cell_length_c 2.8379
_cell_angle_alpha 90.00
_cell_angle_beta 90.00
_cell_angle_gamma 120.00
_symmetry_space_group_name_H-M 'P -6 m 2'
_symmetry_Int_Tables_number 187
_symmetry_space_group_name_Hall 'P -6 2'
loop_
_atom_site_label
_atom_site_type_symbol
_atom_site_fract_x
_atom_site_fract_y
_atom_site_fract_z
Ti1 Ti 0.0000 0.0000 0.0000
O1 O 0.3333 0.6667 0.5000
# - Raw total energy: -17.78 eV for the cell shown
# - ΔH_f (0 K): -2.810 eV/atom